Li9Mn2Co5O16, optimized geometry, DFT GGA+U; volume = 291.3 Å³ per cell; distance to the lowest polymorph of the same formula = 142 meV per atom; symmetry = C2/m; ΔH_f (0 K) = -5316 kJ/mol of formula units; crystal system = monoclinic; M_tot = 23.3 μB/f.u.
1.0
0.997 -1.389 2.442
1.384 1.448 2.208
-34.136 6.108 17.448
Li Mn Co O
9 2 5 16
Direct
0.940 0.940 0.814
0.319 0.319 0.940
0.681 0.681 0.060
0.060 0.060 0.186
0.440 0.440 0.313
0.813 0.813 0.438
0.187 0.187 0.562
0.560 0.560 0.687
0.000 0.000 0.000
0.250 0.250 0.750
0.750 0.750 0.250
0.627 0.627 0.875
0.373 0.373 0.125
0.125 0.125 0.375
0.500 0.500 0.500
0.875 0.875 0.625
0.616 0.616 0.780
0.979 0.979 0.901
0.346 0.346 0.032
0.731 0.731 0.153
0.117 0.117 0.279
0.467 0.467 0.404
0.861 0.861 0.528
0.217 0.217 0.653
0.269 0.269 0.847
0.654 0.654 0.968
0.021 0.021 0.099
0.384 0.384 0.220
0.783 0.783 0.347
0.139 0.139 0.472
0.533 0.533 0.596
0.883 0.883 0.721